Below is an optimized crystal structure of Mg5Pd, with properties calculated at the r²SCAN level.

Results
**Energy of formation**: -20.95 kJ per mole of atoms
**SG**: P-62m, No. 189
**Crystal system**: hexagonal
**Volume**: 19.25 Å³ per atom

Unit cell a=5.2589 b=5.2589 c=4.8219 alpha=90.00 beta=90.00 gamma=120.00
Positions (direct):
Mg  0.3130  0.0000  0.5000
Mg  0.6870  0.6870  0.5000
Mg  0.0000  0.3130  0.5000
Mg  0.3333  0.6667  0.0000
Mg  0.6667  0.3333  0.0000
Pd  0.0000  0.0000  0.0000